A plane-wave DFT calculation with PBE was carried out for a relaxed Zn2Cu10Sb4S13 crystal.

Summary:
- total moment (μB/atom) = 0.00
- theoretical density (Mg/m³) = 4.88
- uncorrected energy (eV per atom) = -4.183
- ΔH_f (0 K) (eV per atom) = -0.48

Cell and atoms, written as POSCAR:
```
Zn2Cu10Sb4S13
1.0
-5.200 5.200 5.257
5.200 -5.200 5.257
5.200 5.200 -5.257
Sb Zn S Cu
4 2 13 10
direct
0.994 0.533 0.000 Sb
0.006 0.006 0.539 Sb
0.533 0.994 0.000 Sb
0.467 0.467 0.461 Sb
0.226 0.226 0.000 Zn
0.774 0.774 0.000 Zn
0.250 0.998 0.479 S
0.480 0.002 0.251 S
0.002 0.480 0.251 S
0.771 0.520 0.521 S
0.998 0.250 0.479 S
0.512 0.512 0.764 S
0.488 0.252 0.000 S
0.748 0.748 0.236 S
0.000 0.000 0.000 S
0.252 0.488 0.000 S
0.520 0.771 0.521 S
0.229 0.750 0.749 S
0.750 0.229 0.749 S
0.750 0.250 0.500 Cu
0.753 0.500 0.253 Cu
0.000 0.776 0.776 Cu
0.500 0.753 0.253 Cu
0.250 0.750 0.500 Cu
0.776 0.000 0.776 Cu
0.500 0.247 0.747 Cu
0.000 0.224 0.224 Cu
0.247 0.500 0.747 Cu
0.224 0.000 0.224 Cu
```